# 1
# GaH18C3N9F6 PBE optimized geometry
data_GaH18C3N9F6
_space_group_name_H-M_alt 'P a -3'
_space_group_IT_number 205
_space_group_name_Hall '-P 2ac 2ab 3'
_cell_length_a 14.230
_cell_length_b 14.230
_cell_length_c 14.230
_cell_angle_alpha 90.00
_cell_angle_beta 90.00
_cell_angle_gamma 90.00
loop_
_atom_site_label
_atom_site_fract_x
_atom_site_fract_y
_atom_site_fract_z
Ga1 0.000 0.000 0.000
Ga2 0.000 0.000 0.500
H1 0.007 0.238 0.611
H2 0.009 0.151 0.164
H3 0.012 0.101 0.693
H4 0.030 0.103 0.814
H5 0.036 0.149 0.337
H6 0.042 0.242 0.892
C1 0.027 0.233 0.751
N1 0.015 0.222 0.170
N2 0.024 0.139 0.753
N3 0.042 0.220 0.332
F1 0.021 0.132 0.527
F2 0.026 0.530 0.370
# Energy of formation from the pure elements ... -0.893 eV per atom
# Total magnetic moment ... 0.000 Bohr magnetons per cell

# 2
# GaP2C3N2O8F PBE optimized geometry
data_GaP2C3N2O8F
_space_group_name_H-M_alt 'C m c m'
_space_group_IT_number 63
_space_group_name_Hall '-C 2c 2'
_cell_length_a 10.522
_cell_length_b 15.877
_cell_length_c 7.322
_cell_angle_alpha 90.00
_cell_angle_beta 90.00
_cell_angle_gamma 90.00
loop_
_atom_site_label
_atom_site_fract_x
_atom_site_fract_y
_atom_site_fract_z
Ga1 0.000 0.000 0.000
P1 0.135 0.135 0.250
C1 0.000 0.400 0.250
C2 0.124 0.390 0.250
N1 0.237 0.380 0.250
O1 0.000 0.186 0.250
O2 0.000 0.218 0.750
O3 0.135 0.079 0.078
O4 0.243 0.198 0.250
F1 0.000 0.048 0.750
# Energy of formation from the pure elements ... -0.960 eV per atom
# Total magnetic moment ... 20.528 Bohr magnetons per cell

# 3
# Gd2CF2 PBE optimized geometry
data_Gd2CF2
_space_group_name_H-M_alt 'P -3 m 1'
_space_group_IT_number 164
_space_group_name_Hall '-P 3 2"'
_cell_length_a 3.7255
_cell_length_b 3.7255
_cell_length_c 6.5823
_cell_angle_alpha 90.00
_cell_angle_beta 90.00
_cell_angle_gamma 120.00
loop_
_atom_site_label
_atom_site_fract_x
_atom_site_fract_y
_atom_site_fract_z
Gd1 0.3333 0.6667 0.2893
C1 0.0000 0.0000 0.5000
F1 0.3333 0.6667 0.8820
# Energy of formation from the pure elements ... -2.524 eV per atom

# 4
# GdH8C10NO8F12 PBE optimized geometry
data_GdH8C10NO8F12
_space_group_name_H-M_alt 'P -1'
_space_group_IT_number 2
_cell_length_a 9.007
_cell_length_b 10.412
_cell_length_c 11.893
_cell_angle_alpha 105.68
_cell_angle_beta 99.40
_cell_angle_gamma 108.18
loop_
_space_group_symop_operation_xyz
'x,y,z'
'-x,-y,-z'
loop_
_atom_site_label
_atom_site_fract_x
_atom_site_fract_y
_atom_site_fract_z
Gd1 0.234 0.453 0.012
H1 0.004 0.241 0.353
H2 0.052 0.122 0.173
H3 0.081 0.031 0.353
H4 0.134 0.371 0.302
H5 0.138 0.952 0.223
H6 0.218 0.322 0.424
H7 0.249 0.212 0.221
H8 0.291 0.088 0.354
C1 0.080 0.615 0.236
C2 0.117 0.749 0.987
C3 0.124 0.284 0.339
C4 0.139 0.697 0.376
C5 0.166 0.051 0.298
C6 0.258 0.879 0.982
C7 0.345 0.124 0.709
C8 0.389 0.619 0.708
C9 0.398 0.255 0.830
C10 0.473 0.599 0.825
N1 0.149 0.165 0.249
O1 0.019 0.237 0.023
O2 0.029 0.357 0.821
O3 0.151 0.645 0.999
O4 0.152 0.533 0.197
O5 0.293 0.261 0.886
O6 0.374 0.364 0.155
O7 0.383 0.546 0.883
O8 0.458 0.660 0.147
F1 0.037 0.760 0.417
F2 0.151 0.607 0.439
F3 0.202 0.018 0.695
F4 0.215 0.907 0.878
F5 0.233 0.607 0.702
F6 0.288 0.803 0.407
F7 0.290 0.001 0.077
F8 0.323 0.171 0.612
F9 0.387 0.516 0.608
F10 0.397 0.856 0.985
F11 0.458 0.064 0.700
F12 0.471 0.749 0.700
# Energy of formation from the pure elements ... -1.536 eV per atom
# Total magnetic moment ... 14.001 Bohr magnetons per cell

energy of formation from the pure elements of number 3 (Gd2CF2)? -2.524 eV per atom

Repeat the second record exactly.
# GaP2C3N2O8F PBE optimized geometry
data_GaP2C3N2O8F
_space_group_name_H-M_alt 'C m c m'
_space_group_IT_number 63
_space_group_name_Hall '-C 2c 2'
_cell_length_a 10.522
_cell_length_b 15.877
_cell_length_c 7.322
_cell_angle_alpha 90.00
_cell_angle_beta 90.00
_cell_angle_gamma 90.00
loop_
_atom_site_label
_atom_site_fract_x
_atom_site_fract_y
_atom_site_fract_z
Ga1 0.000 0.000 0.000
P1 0.135 0.135 0.250
C1 0.000 0.400 0.250
C2 0.124 0.390 0.250
N1 0.237 0.380 0.250
O1 0.000 0.186 0.250
O2 0.000 0.218 0.750
O3 0.135 0.079 0.078
O4 0.243 0.198 0.250
F1 0.000 0.048 0.750
# Energy of formation from the pure elements ... -0.960 eV per atom
# Total magnetic moment ... 20.528 Bohr magnetons per cell

What is the formula in the fourth record? GdH8C10NO8F12

Repeat the second record exactly.
# GaP2C3N2O8F PBE optimized geometry
data_GaP2C3N2O8F
_space_group_name_H-M_alt 'C m c m'
_space_group_IT_number 63
_space_group_name_Hall '-C 2c 2'
_cell_length_a 10.522
_cell_length_b 15.877
_cell_length_c 7.322
_cell_angle_alpha 90.00
_cell_angle_beta 90.00
_cell_angle_gamma 90.00
loop_
_atom_site_label
_atom_site_fract_x
_atom_site_fract_y
_atom_site_fract_z
Ga1 0.000 0.000 0.000
P1 0.135 0.135 0.250
C1 0.000 0.400 0.250
C2 0.124 0.390 0.250
N1 0.237 0.380 0.250
O1 0.000 0.186 0.250
O2 0.000 0.218 0.750
O3 0.135 0.079 0.078
O4 0.243 0.198 0.250
F1 0.000 0.048 0.750
# Energy of formation from the pure elements ... -0.960 eV per atom
# Total magnetic moment ... 20.528 Bohr magnetons per cell